Entry i
The following is a r²SCAN calculation of a geometry-optimized K structure, from the Materials Project database.

Spin magnetization, μB/f.u.: 0.00

Lattice parameters (Å, degrees): 8.4904 8.4904 8.4904 90.00 90.00 90.00
Closest atoms and distances in Å follow each position.
Space group Pm-3n (No. 223)
Symmetry-distinct sites (fractional):
1 K 0.0000 0.0000 0.0000 (multiplicity 2)  12 K 4.75
2 K 0.0000 0.2500 0.5000 (multiplicity 6)  6 K 4.25-4.75

Entry ii
The following is a r²SCAN calculation of a geometry-optimized K structure, from the Materials Project database.

Spin magnetization, μB/f.u.: 0.00

Lattice parameters (Å, degrees): 12.5696 9.9738 9.7671 90.00 90.00 90.00
Closest atoms and distances in Å follow each position.
Space group Cmce (No. 64)
Symmetry-distinct sites (fractional):
1 K 0.0000 0.2391 0.2387 (multiplicity 8)  12 K 4.61-4.99
2 K 0.2468 0.0000 0.5000 (multiplicity 8)  12 K 4.61-4.99

Entry iii
The following is a r²SCAN calculation of a geometry-optimized K structure, from the Materials Project database.

Spin magnetization, μB/f.u.: 0.00

Lattice parameters (Å, degrees): 11.4351 11.4351 11.4351 90.00 90.00 90.00
Closest atoms and distances in Å follow each position.
Space group P4_132 (No. 213)
Symmetry-distinct sites (fractional):
1 K 0.0473 0.1250 0.7973 (multiplicity 12)  12 K 4.64-4.85
2 K 0.0621 0.9379 0.4379 (multiplicity 8)  9 K 4.29-4.80

The calculated energies rank the structures as follows, beginning with the most stable: entry ii, entry i, entry iii.

Entry i
The following is a r²SCAN calculation of a geometry-optimized K2Sn2O3 structure, from the Materials Project database.

Spin magnetization, μB/f.u.: 0.00

Lattice parameters (Å, degrees): 8.3569 8.3569 8.3569 90.00 90.00 90.00
Closest atoms and distances in Å follow each position.
Space group I2_13 (No. 199)
Symmetry-distinct sites (fractional):
1 K 0.2403 0.2403 0.2403 (multiplicity 8)  6 O 2.86-2.95
2 Sn 0.0043 0.0043 0.0043 (multiplicity 8)  3 O 2.06
3 O 0.0000 0.2500 0.9820 (multiplicity 12)  2 Sn 2.06

Entry ii
The following is a r²SCAN calculation of a geometry-optimized K2Sn2O3 structure, from the Materials Project database.

Spin magnetization, μB/f.u.: 0.00

Lattice parameters (Å, degrees): 6.0174 6.0174 14.2025 90.00 90.00 120.00
Closest atoms and distances in Å follow each position.
Space group R-3m (No. 166, hexagonal axes)
Symmetry-distinct sites (fractional):
1 K 0.0000 0.0000 0.0000 (multiplicity 3)  6 O 2.94
2 K 0.0000 0.0000 0.5000 (multiplicity 3)  6 O 3.01
3 Sn 0.0000 0.0000 0.2423 (multiplicity 6)  3 O 2.04
4 O 0.0000 0.5000 0.5000 (multiplicity 9)  2 Sn 2.04

The calculated energies rank the structures as follows, beginning with the most stable: entry i, entry ii.

Entry i
The following is a r²SCAN calculation of a geometry-optimized K2WO4 structure, from the Materials Project database.

Spin magnetization, μB/f.u.: 0.00

Lattice parameters (Å, degrees): 12.3796 6.1005 7.5381 90.00 115.76 90.00
Closest atoms and distances in Å follow each position.
Space group C2/m (No. 12)
Symmetry-distinct sites (fractional):
1 K 0.0075 0.0000 0.2329 (multiplicity 4)  6 O 2.68-2.91
2 K 0.1554 0.5000 0.7488 (multiplicity 4)  6 O 2.66-2.93
3 W 0.1758 0.5000 0.2276 (multiplicity 4)  4 O 1.79
4 O 0.0871 0.5000 0.3625 (multiplicity 4)  1 W 1.79
5 O 0.1424 0.2609 0.0755 (multiplicity 8)  1 W 1.79
6 O 0.1663 0.0000 0.6137 (multiplicity 4)  1 W 1.79

Entry ii
The following is a r²SCAN calculation of a geometry-optimized K2WO4 structure, from the Materials Project database.

Spin magnetization, μB/f.u.: 0.00

Lattice parameters (Å, degrees): 6.2274 8.0743 12.0399 90.00 115.99 90.00
Closest atoms and distances in Å follow each position.
Space group P2_1/c (No. 14)
Symmetry-distinct sites (fractional):
1 K 0.0035 0.0021 0.2579 (multiplicity 4)  6 O 2.69-2.79
2 K 0.2884 0.7421 0.5873 (multiplicity 4)  3 O 2.65-2.81
3 W 0.3558 0.2495 0.0748 (multiplicity 4)  4 O 1.78-1.80
4 O 0.2391 0.0771 0.1236 (multiplicity 4)  1 W 1.78
5 O 0.2434 0.0647 0.6100 (multiplicity 4)  1 W 1.78
6 O 0.2597 0.2376 0.9110 (multiplicity 4)  1 W 1.80
7 O 0.3229 0.7485 0.3494 (multiplicity 4)  1 W 1.80

The calculated energies rank the structures as follows, beginning with the most stable: entry i, entry ii.

Entry i
The following is a r²SCAN calculation of a geometry-optimized K5Sb4 structure, from the Materials Project database.

Spin magnetization, μB/f.u.: 0.00

Lattice parameters (Å, degrees): 6.5103 6.8228 8.3277 91.57 90.03 96.03
Closest atoms and distances in Å follow each position.
Space group P1 (No. 1)
Symmetry-distinct sites (fractional):
1 K 0.0000 0.0000 0.0000 (multiplicity 1)  5 Sb 3.53-3.95, 1 K 3.87
2 K 0.0379 0.3193 0.6224 (multiplicity 1)  5 Sb 3.51-3.82, 2 K 3.70-3.87
3 K 0.4563 0.2745 0.3272 (multiplicity 1)  5 Sb 3.52-3.82, 2 K 3.70-3.87
4 K 0.4951 0.5923 0.9478 (multiplicity 1)  5 Sb 3.54-3.95, 1 K 3.87
5 K 0.7478 0.7972 0.4732 (multiplicity 1)  6 Sb 3.44-3.66
6 Sb 0.2317 0.8199 0.6437 (multiplicity 1)  2 Sb 2.80-2.86
7 Sb 0.2638 0.7731 0.3030 (multiplicity 1)  2 Sb 2.80-2.86
8 Sb 0.5270 0.1189 0.7588 (multiplicity 1)  1 Sb 2.80
9 Sb 0.9672 0.4737 0.1898 (multiplicity 1)  1 Sb 2.80

Entry ii
The following is a r²SCAN calculation of a geometry-optimized K5Sb4 structure, from the Materials Project database.

Spin magnetization, μB/f.u.: 0.00

Lattice parameters (Å, degrees): 12.4461 5.4876 11.3513 90.00 111.70 90.00
Closest atoms and distances in Å follow each position.
Space group C2/m (No. 12)
Symmetry-distinct sites (fractional):
1 K 0.0000 0.0000 0.0000 (multiplicity 2)  4 Sb 3.56
2 K 0.1004 0.0000 0.3914 (multiplicity 4)  7 Sb 3.66-3.75
3 K 0.2454 0.0000 0.8335 (multiplicity 4)  6 Sb 3.69-3.81, 3 K 4.09-4.11
4 Sb 0.0443 0.5000 0.8234 (multiplicity 4)  1 Sb 2.81
5 Sb 0.1051 0.5000 0.6083 (multiplicity 4)  2 Sb 2.81-2.85

The calculated energies rank the structures as follows, beginning with the most stable: entry ii, entry i.